Computed, not measured: a relaxed Tb2Al3Co crystal at the PBE level of DFT.

a = 5.372 Å, b = 5.372 Å, c = 5.372 Å
α = 61.52°, β = 61.52°, γ = 61.52°
Sites, in units of the cell vectors:
Tb: 0.626 0.626 0.626
Tb: 0.374 0.374 0.374
Al: 0.000 0.500 0.000
Al: 0.500 0.000 0.000
Al: 0.000 0.000 0.500
Co: 0.000 0.000 0.000

Summary:
Its total magnetic moment is 0.000 μB/atom. The calculation puts the total energy at -5.05 eV per atom.

***

Computed, not measured: a relaxed Sr2CuBi2O6 crystal at the PBE level of DFT.

a = 13.019 Å, b = 13.019 Å, c = 5.133 Å
α = 90.00°, β = 90.00°, γ = 155.50°
Sites, in units of the cell vectors:
Sr: 0.575 0.934 0.500
Sr: 0.934 0.575 0.000
Sr: 0.066 0.425 0.000
Sr: 0.425 0.066 0.500
Cu: 0.500 0.000 0.000
Cu: 0.000 0.500 0.500
Bi: 0.663 0.790 0.000
Bi: 0.210 0.337 0.500
Bi: 0.790 0.663 0.500
Bi: 0.337 0.210 0.000
O: 0.748 0.252 0.250
O: 0.748 0.252 0.750
O: 0.599 0.730 0.500
O: 0.624 0.913 0.000
O: 0.087 0.376 0.500
O: 0.270 0.401 0.000
O: 0.376 0.087 0.000
O: 0.252 0.748 0.250
O: 0.252 0.748 0.750
O: 0.730 0.599 0.000
O: 0.913 0.624 0.500
O: 0.401 0.270 0.500

Summary:
Its total magnetic moment is 0.001 μB/atom. The calculation puts the total energy at -5.75 eV per atom.

***

Computed, not measured: a relaxed Eu2Zr2O7 crystal at the PBE level of DFT.

a = 3.690 Å, b = 7.503 Å, c = 10.781 Å
α = 90.00°, β = 90.00°, γ = 90.00°
Sites, in units of the cell vectors:
Eu: 0.500 0.500 0.500
Eu: 0.000 0.750 0.226
Eu: 0.500 0.000 0.500
Eu: 0.000 0.250 0.774
Zr: 0.000 0.250 0.243
Zr: 0.000 0.750 0.757
Zr: 0.500 0.500 0.000
Zr: 0.500 0.000 0.000
O: 0.000 0.473 0.634
O: 0.500 0.750 0.865
O: 0.500 0.250 0.895
O: 0.000 0.023 0.115
O: 0.000 0.477 0.115
O: 0.000 0.523 0.885
O: 0.500 0.250 0.376
O: 0.500 0.750 0.105
O: 0.000 0.973 0.366
O: 0.000 0.027 0.634
O: 0.000 0.527 0.366
O: 0.500 0.750 0.624
O: 0.000 0.977 0.885
O: 0.500 0.250 0.135

Summary:
Its total magnetic moment is 1.091 μB/atom. The calculation puts the total energy at -9.51 eV per atom.

***

Copy entry 2 word for word.
Computed, not measured: a relaxed Sr2CuBi2O6 crystal at the PBE level of DFT.

a = 13.019 Å, b = 13.019 Å, c = 5.133 Å
α = 90.00°, β = 90.00°, γ = 155.50°
Sites, in units of the cell vectors:
Sr: 0.575 0.934 0.500
Sr: 0.934 0.575 0.000
Sr: 0.066 0.425 0.000
Sr: 0.425 0.066 0.500
Cu: 0.500 0.000 0.000
Cu: 0.000 0.500 0.500
Bi: 0.663 0.790 0.000
Bi: 0.210 0.337 0.500
Bi: 0.790 0.663 0.500
Bi: 0.337 0.210 0.000
O: 0.748 0.252 0.250
O: 0.748 0.252 0.750
O: 0.599 0.730 0.500
O: 0.624 0.913 0.000
O: 0.087 0.376 0.500
O: 0.270 0.401 0.000
O: 0.376 0.087 0.000
O: 0.252 0.748 0.250
O: 0.252 0.748 0.750
O: 0.730 0.599 0.000
O: 0.913 0.624 0.500
O: 0.401 0.270 0.500

Summary:
Its total magnetic moment is 0.001 μB/atom. The calculation puts the total energy at -5.75 eV per atom.